Model A:
Below is Fe2P2H6C2O13 after structural relaxation, with properties calculated at the PBE+U level.

Total magnetic moment = 8.00 Bohr magnetons per cell

Cell: 5.0021 18.1464 7.5844 Å, 90.00 106.44 90.00°
Closest atoms and distances in Å follow each position.
Space group P2_1 (No. 4)
One atom of each set of equivalent atoms:
Fe: 0.1000 0.0000 0.2921  4 O 2.09-2.17
Fe: 0.1202 0.7958 0.7575  5 O 1.99-2.21
P: 0.1725 0.4508 0.4952  3 O 1.56-1.69
P: 0.2424 0.3593 0.0140  3 O 1.48-1.50
H: 0.0207 0.0321 0.6976  1 O 1.02
H: 0.1048 0.7465 0.2078  1 O 0.99
H: 0.3801 0.9683 0.8484  1 O 0.98
H: 0.4121 0.2619 0.5754  1 O 1.01
H: 0.4521 0.8836 0.3821  1 O 1.02
H: 0.4842 0.5433 0.1828  1 O 0.98
C: 0.1344 0.1555 0.3422  2 O 1.26-1.27
C: 0.1464 0.6422 0.8071  2 O 1.27
O: 0.0781 0.4219 0.9138  1 P 1.48
O: 0.0985 0.3818 0.3691  1 P 1.56
O: 0.1047 0.2877 0.0306  1 P 1.49
O: 0.1833 0.5210 0.3687  1 H 1.02
O: 0.1848 0.2214 0.3993  1 C 1.27
O: 0.1909 0.7553 0.3402  1 H 0.99
O: 0.1945 0.5763 0.8620  1 C 1.27
O: 0.2879 0.1002 0.3956  1 C 1.26
O: 0.3047 0.6973 0.8623  1 C 1.27
O: 0.3374 0.0195 0.8090  2 H 0.98
O: 0.4476 0.7930 0.3327  1 H 1.01
O: 0.4486 0.8671 0.9078  1 P 1.50
O: 0.4824 0.9388 0.4051  1 H 1.02

Model B:
Below is Fe2P2H6C2O13 after structural relaxation, with properties calculated at the PBE+U level.

Total magnetic moment = 24.01 Bohr magnetons per cell

Cell: 4.9563 17.8569 7.4893 Å, 90.00 108.87 90.00°
Closest atoms and distances in Å follow each position.
Space group P2_1 (No. 4)
One atom of each set of equivalent atoms:
Fe: 0.0779 0.0000 0.3145  6 O 1.92-2.14
Fe: 0.0786 0.8057 0.8144  5 O 1.91-2.12
P: 0.2814 0.3410 0.8930  1 H 1.40, 3 O 1.53-1.55
P: 0.2818 0.4642 0.3941  1 H 1.40, 3 O 1.53-1.55
H: 0.2979 0.8527 0.5519  1 O 0.99
H: 0.3054 0.5110 0.2493  1 P 1.40
H: 0.3083 0.2940 0.7497  1 P 1.40
H: 0.3126 0.9514 0.0570  1 O 0.99
H: 0.3592 0.0399 0.0685  1 O 0.98
H: 0.4085 0.7695 0.5957  1 O 0.99
C: 0.1498 0.6458 0.8220  2 O 1.26
C: 0.1524 0.1595 0.3205  2 O 1.26-1.27
O: 0.1049 0.2963 0.9904  1 P 1.53
O: 0.1065 0.5091 0.4916  1 P 1.53
O: 0.1375 0.3914 0.3046  1 P 1.53
O: 0.1388 0.4134 0.8012  1 P 1.53
O: 0.2284 0.5784 0.8521  1 C 1.26
O: 0.2327 0.2272 0.3476  1 C 1.27
O: 0.2353 0.9995 0.0857  2 H 0.98-0.99
O: 0.2420 0.1351 0.8654  1 H 2.23
O: 0.2442 0.8024 0.5861  2 H 0.99
O: 0.2924 0.1023 0.3951  1 C 1.26
O: 0.2919 0.7031 0.8964  1 C 1.26
O: 0.4124 0.9440 0.4773  1 P 1.55
O: 0.4141 0.8614 0.9759  1 P 1.55

The energy of each structure relative to the most stable one, in meV per atom, is as follows: model A 58; model B 0.

Model A:
Below is FePH5CO8 after structural relaxation, with properties calculated at the PBE+U level.

Total magnetic moment = 20.00 Bohr magnetons per cell

Cell: 7.7680 9.8638 10.8125 Å, 90.00 90.70 90.00°
Closest atoms and distances in Å follow each position.
Space group P2_1/c (No. 14)
One atom of each set of equivalent atoms:
Fe: 0.0001 0.1584 0.1299  5 O 1.98-2.20
P: 0.0498 0.1667 0.8457  3 O 1.54-1.65
H: 0.1113 0.5805 0.8176  1 O 0.97
H: 0.2241 0.6565 0.5882  1 O 1.00
H: 0.2279 0.1515 0.4426  1 O 1.00
H: 0.3343 0.5252 0.1091  1 O 2.44, 1 H 2.63
H: 0.4934 0.6648 0.3207  1 O 0.98
C: 0.4777 0.0194 0.0668  2 O 1.23-1.33
O: 0.0966 0.6703 0.7814  1 H 0.97
O: 0.1052 0.0184 0.8277  1 P 1.54
O: 0.1096 0.6883 0.5562  1 H 1.00
O: 0.1384 0.2031 0.2980  1 P 1.55
O: 0.1904 0.1664 0.9879  1 O 1.50
O: 0.2325 0.1918 0.5274  1 H 1.00
O: 0.3920 0.5518 0.6358  1 C 1.23
O: 0.4533 0.6383 0.4031  1 H 0.98

Model B:
Below is FePH5CO8 after structural relaxation, with properties calculated at the PBE+U level.

Total magnetic moment = 20.01 Bohr magnetons per cell

Cell: 7.3636 9.4021 9.5841 Å, 90.00 102.93 90.00°
Closest atoms and distances in Å follow each position.
Space group P2_1/c (No. 14)
One atom of each set of equivalent atoms:
Fe: 0.1882 0.1785 0.4593  6 O 1.96-2.14
P: 0.0308 0.6126 0.7910  4 O 1.54-1.60
H: 0.2034 0.6572 0.4517  1 O 0.99
H: 0.2621 0.6504 0.6836  1 O 1.01
H: 0.2899 0.5086 0.5064  1 O 0.99
H: 0.4096 0.1735 0.1914  1 O 1.00
H: 0.4969 0.6634 0.4464  1 O 1.00
C: 0.4717 0.5323 0.0657  2 O 1.26-1.27
O: 0.0083 0.1968 0.5806  1 P 1.54
O: 0.0417 0.0486 0.3172  1 P 1.54
O: 0.1125 0.1460 0.8485  1 P 1.54
O: 0.2310 0.6694 0.7790  1 H 1.01
O: 0.3087 0.6121 0.5188  2 H 0.99
O: 0.3271 0.0158 0.5978  1 C 1.26
O: 0.3836 0.1792 0.0850  2 H 1.00
O: 0.4230 0.1306 0.3695  1 C 1.27

Model C:
Below is FePH5CO8 after structural relaxation, with properties calculated at the PBE+U level.

Total magnetic moment = 20.00 Bohr magnetons per cell

Cell: 8.7580 10.7329 9.4056 Å, 90.00 102.22 90.00°
Closest atoms and distances in Å follow each position.
Space group P2_1/c (No. 14)
One atom of each set of equivalent atoms:
Fe: 0.1236 0.1163 0.3554  4 O 2.02-2.07
P: 0.0641 0.1555 0.6902  4 O 1.51-1.63
H: 0.1932 0.6874 0.4295  1 O 0.99
H: 0.1936 0.0943 0.9136  1 O 0.99
H: 0.3011 0.0420 0.0859  1 H 1.78
H: 0.3270 0.0605 0.6179  1 O 1.03
H: 0.4933 0.7303 0.5320  1 O 0.98
C: 0.4788 0.0191 0.4190  2 O 1.24-1.30
O: 0.0066 0.2083 0.1749  1 P 1.54
O: 0.0613 0.5611 0.8009  1 P 1.51
O: 0.1608 0.1224 0.5751  1 P 1.55, 1 H 1.57
O: 0.1897 0.1640 0.8447  1 H 0.99
O: 0.2903 0.6626 0.4992  1 H 0.99
O: 0.3591 0.0802 0.3709  1 C 1.24
O: 0.4060 0.7419 0.4489  1 H 0.98
O: 0.4275 0.0141 0.6651  1 H 1.03

Model D:
Below is FePH5CO8 after structural relaxation, with properties calculated at the PBE+U level.

Total magnetic moment = 20.00 Bohr magnetons per cell

Cell: 7.9488 10.7621 10.4460 Å, 90.00 99.40 90.00°
Closest atoms and distances in Å follow each position.
Space group P2_1/c (No. 14)
One atom of each set of equivalent atoms:
Fe: 0.0814 0.1374 0.3694  3 O 1.92-2.09
P: 0.0167 0.6832 0.8430  5 O 1.59-1.72
H: 0.0450 0.0835 0.8517  1 O 0.98
H: 0.1733 0.6254 0.3886  1 O 1.01
H: 0.2307 0.1121 0.6001  1 O 1.00
H: 0.3308 0.5213 0.5905  1 O 2.18
H: 0.4551 0.1768 0.3376  1 O 0.98
C: 0.4844 0.5313 0.0631  2 O 1.22-1.34
O: 0.0101 0.1694 0.1823  1 H 1.60, 1 P 1.62
O: 0.0632 0.5401 0.8571  1 P 1.59
O: 0.0662 0.1660 0.8184  1 H 0.98
O: 0.1434 0.1768 0.5678  1 H 1.00
O: 0.2142 0.7051 0.9291  1 O 1.50
O: 0.2791 0.6639 0.4408  1 H 1.01
O: 0.3901 0.0097 0.6344  1 C 1.22
O: 0.4245 0.1357 0.4146  1 H 0.98

The energy of each structure relative to the most stable one, in meV per atom, is as follows: model A 466; model B 0; model C 410; model D 547.